1.
Entry from the Materials Project database: crystalline Ni23Te42 at its relaxed geometry (GGA-PBE).

Properties
- Calculated total energy: -4.293 eV/atom
- Calculated density: 7.61 Mg/m³
- Space group: P-1 (2)

a = 8.574 Å, b = 8.600 Å, c = 20.016 Å
α = 93.15°, β = 94.84°, γ = 93.83°
Sites, in units of the cell vectors:
Ni 0.000 0.000 0.000
Ni 0.045 0.335 0.144
Ni 0.097 0.167 0.786
Ni 0.098 0.664 0.287
Ni 0.143 0.997 0.430
Ni 0.189 0.333 0.570
Ni 0.236 0.667 0.715
Ni 0.289 0.998 0.859
Ni 0.334 0.332 0.001
Ni 0.381 0.670 0.143
Ni 0.427 0.997 0.285
Ni 0.476 0.334 0.428
Ni 0.524 0.666 0.572
Ni 0.573 0.003 0.715
Ni 0.619 0.330 0.857
Ni 0.666 0.668 0.999
Ni 0.711 0.002 0.141
Ni 0.764 0.333 0.285
Ni 0.811 0.667 0.430
Ni 0.857 0.003 0.570
Ni 0.902 0.336 0.713
Ni 0.903 0.833 0.214
Ni 0.955 0.665 0.856
Te 0.013 0.033 0.129
Te 0.034 0.305 0.012
Te 0.064 0.360 0.274
Te 0.083 0.637 0.155
Te 0.112 0.692 0.418
Te 0.131 0.971 0.300
Te 0.157 0.029 0.560
Te 0.177 0.305 0.440
Te 0.204 0.365 0.700
Te 0.224 0.637 0.584
Te 0.255 0.691 0.846
Te 0.274 0.969 0.727
Te 0.303 0.028 0.989
Te 0.322 0.306 0.871
Te 0.347 0.362 0.132
Te 0.368 0.638 0.012
Te 0.398 0.693 0.274
Te 0.411 0.974 0.154
Te 0.443 0.028 0.416
Te 0.462 0.304 0.298
Te 0.490 0.360 0.559
Te 0.510 0.640 0.441
Te 0.538 0.696 0.702
Te 0.557 0.972 0.584
Te 0.589 0.026 0.846
Te 0.602 0.307 0.726
Te 0.632 0.362 0.988
Te 0.653 0.638 0.868
Te 0.678 0.694 0.129
Te 0.697 0.972 0.011
Te 0.726 0.031 0.273
Te 0.745 0.309 0.154
Te 0.776 0.363 0.416
Te 0.796 0.635 0.300
Te 0.823 0.695 0.560
Te 0.843 0.971 0.440
Te 0.869 0.029 0.700
Te 0.888 0.308 0.582
Te 0.917 0.363 0.845
Te 0.936 0.640 0.726
Te 0.966 0.695 0.988
Te 0.987 0.967 0.871

2.
Entry from the Materials Project database: crystalline ZrCrNi at its relaxed geometry (GGA-PBE).

Properties
- Calculated total energy: -8.181 eV/atom
- Calculated density: 7.59 Mg/m³
- Space group: Amm2 (38)

a = 7.972 Å, b = 5.088 Å, c = 5.088 Å
α = 58.85°, β = 90.00°, γ = 90.00°
Sites, in units of the cell vectors:
Zr 0.189 0.000 0.000
Zr 0.308 0.331 0.331
Zr 0.692 0.331 0.331
Zr 0.811 0.000 0.000
Cr 0.259 0.658 0.658
Cr 0.500 0.336 0.837
Cr 0.500 0.837 0.336
Cr 0.741 0.658 0.658
Ni 0.000 0.497 0.995
Ni 0.000 0.498 0.498
Ni 0.000 0.995 0.497
Ni 0.500 0.841 0.841

3.
Entry from the Materials Project database: crystalline Bi2Se5Cl7 at its relaxed geometry (GGA-PBE).

Properties
- Calculated total energy: -3.303 eV/atom
- Calculated density: 4.19 Mg/m³
- Space group: P2_12_12_1 (19)

a = 12.083 Å, b = 12.329 Å, c = 22.582 Å
α = 90.00°, β = 90.00°, γ = 90.00°
Sites, in units of the cell vectors:
Bi 0.025 0.026 0.016
Bi 0.109 0.036 0.481
Bi 0.192 0.326 0.930
Bi 0.230 0.663 0.069
Bi 0.270 0.337 0.569
Bi 0.308 0.674 0.430
Bi 0.391 0.964 0.981
Bi 0.475 0.974 0.516
Bi 0.525 0.474 0.984
Bi 0.609 0.464 0.519
Bi 0.692 0.174 0.070
Bi 0.730 0.837 0.931
Bi 0.770 0.163 0.431
Bi 0.808 0.826 0.570
Bi 0.891 0.536 0.019
Bi 0.975 0.526 0.484
Se 0.000 0.312 0.751
Se 0.000 0.812 0.749
Se 0.042 0.658 0.802
Se 0.095 0.135 0.241
Se 0.108 0.279 0.164
Se 0.123 0.942 0.793
Se 0.156 0.417 0.290
Se 0.165 0.243 0.325
Se 0.172 0.565 0.736
Se 0.207 0.705 0.657
Se 0.244 0.979 0.717
Se 0.256 0.021 0.217
Se 0.293 0.295 0.157
Se 0.328 0.435 0.236
Se 0.335 0.757 0.825
Se 0.344 0.583 0.790
Se 0.377 0.058 0.293
Se 0.392 0.721 0.664
Se 0.405 0.865 0.741
Se 0.458 0.342 0.302
Se 0.500 0.188 0.249
Se 0.500 0.688 0.251
Se 0.542 0.842 0.198
Se 0.595 0.365 0.759
Se 0.608 0.221 0.836
Se 0.623 0.558 0.207
Se 0.656 0.083 0.710
Se 0.665 0.257 0.675
Se 0.672 0.935 0.264
Se 0.707 0.795 0.343
Se 0.744 0.521 0.283
Se 0.756 0.479 0.783
Se 0.793 0.205 0.843
Se 0.828 0.065 0.764
Se 0.835 0.743 0.175
Se 0.844 0.917 0.210
Se 0.877 0.442 0.707
Se 0.892 0.779 0.336
Se 0.905 0.635 0.259
Se 0.958 0.158 0.698
Cl 0.011 0.220 0.463
Cl 0.033 0.445 0.895
Cl 0.056 0.715 0.465
Cl 0.059 0.970 0.126
Cl 0.074 0.157 0.897
Cl 0.090 0.437 0.598
Cl 0.114 0.457 0.050
Cl 0.132 0.983 0.372
Cl 0.160 0.648 0.173
Cl 0.163 0.155 0.600
Cl 0.187 0.462 0.451
Cl 0.203 0.859 0.964
Cl 0.220 0.681 0.329
Cl 0.228 0.128 0.028
Cl 0.272 0.872 0.528
Cl 0.280 0.319 0.829
Cl 0.297 0.141 0.464
Cl 0.313 0.538 0.951
Cl 0.337 0.845 0.100
Cl 0.340 0.352 0.673
Cl 0.368 0.017 0.872
Cl 0.386 0.543 0.550
Cl 0.410 0.563 0.098
Cl 0.426 0.843 0.397
Cl 0.441 0.030 0.626
Cl 0.444 0.285 0.965
Cl 0.467 0.555 0.395
Cl 0.489 0.780 0.963
Cl 0.511 0.280 0.537
Cl 0.533 0.055 0.105
Cl 0.556 0.785 0.535
Cl 0.559 0.530 0.874
Cl 0.574 0.343 0.103
Cl 0.590 0.063 0.402
Cl 0.614 0.043 0.950
Cl 0.632 0.517 0.628
Cl 0.660 0.852 0.827
Cl 0.663 0.345 0.400
Cl 0.687 0.038 0.549
Cl 0.703 0.641 0.036
Cl 0.720 0.819 0.671
Cl 0.728 0.372 0.972
Cl 0.772 0.628 0.472
Cl 0.780 0.181 0.171
Cl 0.797 0.359 0.536
Cl 0.813 0.962 0.049
Cl 0.837 0.655 0.900
Cl 0.840 0.148 0.327
Cl 0.868 0.483 0.128
Cl 0.886 0.957 0.450
Cl 0.910 0.937 0.902
Cl 0.926 0.657 0.603
Cl 0.941 0.470 0.374
Cl 0.944 0.215 0.035
Cl 0.967 0.945 0.605
Cl 0.989 0.720 0.037

4.
Entry from the Materials Project database: crystalline Zr6Zn23Si at its relaxed geometry (GGA-PBE).

Properties
- Calculated total energy: -3.151 eV/atom
- Calculated density: 7.16 Mg/m³
- Space group: Fm-3m (225)

a = 8.803 Å, b = 8.803 Å, c = 8.803 Å
α = 60.00°, β = 60.00°, γ = 60.00°
Sites, in units of the cell vectors:
Zr 0.210 0.210 0.790
Zr 0.210 0.790 0.210
Zr 0.210 0.790 0.790
Zr 0.790 0.210 0.210
Zr 0.790 0.210 0.790
Zr 0.790 0.790 0.210
Zn 0.000 0.000 0.500
Zn 0.000 0.500 0.000
Zn 0.000 0.500 0.500
Zn 0.131 0.623 0.623
Zn 0.164 0.164 0.164
Zn 0.164 0.164 0.507
Zn 0.164 0.507 0.164
Zn 0.377 0.377 0.377
Zn 0.377 0.377 0.869
Zn 0.377 0.869 0.377
Zn 0.493 0.836 0.836
Zn 0.500 0.000 0.000
Zn 0.500 0.000 0.500
Zn 0.500 0.500 0.000
Zn 0.500 0.500 0.500
Zn 0.507 0.164 0.164
Zn 0.623 0.131 0.623
Zn 0.623 0.623 0.131
Zn 0.623 0.623 0.623
Zn 0.836 0.493 0.836
Zn 0.836 0.836 0.493
Zn 0.836 0.836 0.836
Zn 0.869 0.377 0.377
Si 0.000 0.000 0.000

5.
Entry from the Materials Project database: crystalline TmGa2Pd at its relaxed geometry (GGA-PBE).

Properties
- Calculated total energy: -4.724 eV/atom
- Calculated density: 9.39 Mg/m³
- Space group: Cmcm (63)

a = 4.397 Å, b = 10.077 Å, c = 6.626 Å
α = 90.00°, β = 90.00°, γ = 90.00°
Sites, in units of the cell vectors:
Tm 0.000 0.087 0.250
Tm 0.000 0.913 0.750
Tm 0.500 0.413 0.750
Tm 0.500 0.587 0.250
Ga 0.000 0.372 0.052
Ga 0.000 0.372 0.448
Ga 0.000 0.628 0.552
Ga 0.000 0.628 0.948
Ga 0.500 0.128 0.552
Ga 0.500 0.128 0.948
Ga 0.500 0.872 0.052
Ga 0.500 0.872 0.448
Pd 0.000 0.201 0.750
Pd 0.000 0.799 0.250
Pd 0.500 0.299 0.250
Pd 0.500 0.701 0.750

6.
Entry from the Materials Project database: crystalline Ni3I at its relaxed geometry (GGA-PBE).

Properties
- Calculated total energy: -4.190 eV/atom
- Calculated density: 9.21 Mg/m³
- Space group: I4/mmm (139)

a = 3.767 Å, b = 3.767 Å, c = 7.699 Å
α = 90.00°, β = 90.00°, γ = 90.00°
Sites, in units of the cell vectors:
Ni 0.000 0.000 0.000
Ni 0.000 0.500 0.250
Ni 0.000 0.500 0.750
Ni 0.500 0.000 0.250
Ni 0.500 0.000 0.750
Ni 0.500 0.500 0.500
I 0.000 0.000 0.500
I 0.500 0.500 0.000

The highest calculated density belongs to which entry?
TmGa2Pd